(1)
PrGeBO5 | PBE-GGA | optimized geometry

Calculated values
Formation energy from the elements in meV/atom: -2959
Space-group type: P3_1 (144)
Maximum piezoelectric response in C/m²: 0.36
Energy in eV per atom: -7.63

The structure in POSCAR format:
```
PrGeBO5
1.0
3.519 -6.095 0.000
3.519 6.095 0.000
0.000 0.000 6.850
Pr Ge B O
3 3 3 15
Cartesian
2.919 -0.017 4.594
5.564 -2.519 2.310
2.074 -3.559 0.027
2.955 0.037 1.169
2.073 3.517 5.736
5.528 2.541 3.452
6.276 -0.102 4.371
3.812 -5.384 2.087
0.469 -0.610 6.654
2.468 2.360 4.497
4.329 2.778 2.214
3.760 0.958 6.780
0.388 -0.135 5.271
3.442 -5.692 0.704
6.727 -0.268 2.988
1.921 -0.953 0.076
3.383 -3.955 2.359
5.252 -1.188 4.642
1.794 0.859 2.275
5.397 1.124 4.558
3.366 4.112 6.842
3.817 -0.852 2.381
2.348 -2.363 4.665
4.391 -2.880 0.098
```

(2)
Rb4Ge3B6O17 | PBE-GGA | optimized geometry

Calculated values
Formation energy from the elements in meV/atom: -2561
Space-group type: Cc (9)
Energy in eV per atom: -6.90

The structure in POSCAR format:
```
Rb4Ge3B6O17
1.0
-1.995 -3.048 -5.964
4.868 -2.006 -4.596
2.161 -20.092 4.457
Rb Ge B O
8 6 12 34
Cartesian
2.216 -21.130 -1.224
3.459 -10.731 -2.989
0.650 -6.938 -6.928
5.087 -16.474 -4.031
4.279 -13.896 -1.060
-0.488 -4.410 -4.023
5.558 -20.128 -3.076
0.921 -10.622 -6.014
3.296 -23.554 -4.372
4.380 -13.179 -6.169
4.636 -17.692 0.150
-0.173 -8.212 -2.822
3.307 -5.066 -4.522
1.307 -15.580 -2.907
4.964 -7.162 -3.720
0.144 -18.103 -2.668
2.533 -7.499 -3.528
2.312 -17.743 -1.559
3.283 -3.740 -6.969
1.868 -14.165 -5.238
3.358 -2.338 -4.952
0.644 -12.960 -3.480
2.191 -18.744 -3.868
3.792 -8.291 -5.562
0.605 -0.901 -1.584
1.399 -10.990 0.588
3.107 -3.406 -3.918
0.783 -13.969 -2.368
1.574 -8.204 -2.644
3.027 -18.194 -0.342
2.862 -19.142 -5.037
3.752 -8.797 -6.873
3.040 -5.066 -6.284
2.204 -15.403 -4.438
2.072 -6.084 -3.745
2.396 -16.245 -1.667
4.911 -5.678 -4.043
-0.112 -16.650 -3.032
-0.582 -8.500 -4.493
5.706 -17.756 -1.226
3.057 -21.780 -4.416
4.100 -11.412 -6.221
0.948 -18.239 -1.465
3.842 -7.590 -2.901
4.885 -22.715 -1.771
1.764 -12.979 -4.407
2.164 -20.319 3.906
1.349 -10.233 1.730
-0.083 -1.580 -2.547
2.561 -11.389 -0.007
2.973 -18.336 -2.813
2.590 -8.185 -4.902
0.119 -5.898 -0.439
2.825 -15.698 2.114
0.017 -3.978 -7.533
5.028 -13.428 -4.521
4.930 -23.934 -3.890
2.867 -14.037 -6.315
4.981 -21.134 -0.016
0.569 -11.593 -2.909
```

(3)
RbGeB3O7 | PBE-GGA | optimized geometry

Calculated values
Formation energy from the elements in meV/atom: -2642
Space-group type: Pna2_1 (33)
Energy in eV per atom: -7.26

The structure in POSCAR format:
```
RbGeB3O7
1.0
-0.802 3.665 5.967
-9.252 -2.139 0.070
1.870 -7.921 5.117
Rb Ge B O
4 4 12 28
Cartesian
-5.040 0.282 5.428
-3.150 -6.646 5.775
-8.059 -6.518 5.036
-0.131 0.154 6.167
-7.033 -1.420 2.180
-1.184 -4.823 9.220
-6.370 -3.518 7.722
-1.847 -2.725 3.679
-4.586 -2.198 3.275
-3.686 -3.791 8.538
-8.211 -5.288 8.848
-0.061 -0.702 2.964
-6.497 -6.246 10.429
-1.922 0.927 2.475
-5.683 -3.806 4.877
-2.736 -1.513 8.027
-6.577 -7.073 8.172
-1.311 -0.672 0.784
-5.281 -4.522 2.616
-2.608 -3.223 6.340
-7.633 -6.261 7.891
-0.324 -1.167 1.581
-4.692 -3.329 2.322
-3.266 -4.098 7.150
-7.906 0.770 4.336
-0.206 -7.493 6.284
-5.714 -4.825 3.904
-2.398 -1.898 6.715
-5.056 -2.623 4.640
-3.442 -2.339 8.846
-7.584 -5.458 10.205
-0.914 0.496 3.280
-6.827 -2.027 0.512
-0.991 -6.037 7.924
-6.313 -4.159 6.054
-1.505 -3.905 2.382
-6.019 -7.779 7.120
-2.371 2.326 5.566
-6.290 -1.740 7.537
-2.100 -3.713 5.149
-5.423 -1.065 2.792
-2.912 -4.638 9.488
-7.964 -3.903 8.358
-0.372 -1.799 3.922
-7.892 -2.529 3.230
-0.418 -3.288 8.864
-5.097 -4.133 8.755
-3.213 -1.683 3.340
```

(4)
Sr3Ge2B6O16 | PBE-GGA | optimized geometry

Calculated values
Formation energy from the elements in meV/atom: -2906
Space-group type: P-1 (2)
Energy in eV per atom: -7.45

The structure in POSCAR format:
```
Sr3Ge2B6O16
1.0
4.626 -2.036 -0.314
2.889 6.673 -1.693
-1.290 0.502 8.452
Sr Ge B O
3 2 6 16
Cartesian
-0.272 0.795 6.092
6.496 4.344 0.352
0.799 3.587 3.379
4.077 0.704 -0.295
2.148 4.435 6.740
3.760 4.732 3.040
2.464 0.407 3.405
3.494 3.126 1.040
2.730 2.013 5.404
1.703 1.183 1.157
4.521 3.956 5.288
4.547 4.970 4.187
1.678 0.169 2.257
2.577 5.363 2.880
3.647 -0.224 3.565
4.272 3.841 2.090
1.952 1.298 4.355
4.564 2.226 0.480
1.660 2.912 5.964
3.027 4.093 -0.008
3.197 1.046 6.453
2.386 2.394 1.636
3.838 2.744 4.809
4.872 -0.619 0.557
1.352 5.757 5.887
2.320 0.602 -0.075
3.904 4.536 6.520
```

(5)
Tb2GeB2O8 | PBE-GGA | optimized geometry

Calculated values
Formation energy from the elements in meV/atom: -3208
Space-group type: Pbcn (60)
Energy in eV per atom: -7.93

The structure in POSCAR format:
```
Tb2GeB2O8
1.0
-3.509 1.839 1.983
2.804 -3.505 8.211
7.203 11.229 2.334
Tb Ge B O
8 4 8 32
Cartesian
4.473 6.188 6.722
6.123 9.641 2.301
2.195 -0.014 4.301
3.713 1.472 9.749
2.024 3.374 5.805
0.374 -0.078 10.227
4.303 9.577 8.227
2.785 8.091 2.779
2.463 4.684 9.157
-1.321 0.183 3.195
4.035 4.878 3.371
0.616 -1.850 6.999
1.555 0.762 7.293
-0.676 4.434 4.290
2.475 8.609 5.996
6.132 7.160 9.460
4.942 8.801 5.235
7.174 5.129 8.238
4.023 0.954 6.532
0.365 2.403 3.067
1.039 1.228 6.019
-1.027 5.052 3.025
2.876 7.964 7.232
6.598 6.720 10.762
5.458 8.335 6.508
7.525 4.511 9.503
3.621 1.598 5.296
-0.100 2.842 1.766
0.611 -0.275 7.867
0.633 5.014 4.785
2.076 7.551 4.986
6.166 8.673 9.401
5.887 9.838 4.661
5.865 4.548 7.743
4.422 2.011 7.541
0.331 0.890 3.127
2.919 0.151 7.160
1.781 2.816 3.355
4.828 7.706 4.212
6.975 6.614 8.345
3.578 9.412 5.367
4.716 6.747 9.173
1.669 1.857 8.316
-0.478 2.949 4.183
2.780 4.761 7.445
-2.498 1.183 2.388
5.498 11.231 7.220
3.707 3.790 9.987
3.718 4.802 5.083
8.996 8.380 10.140
1.000 -1.668 5.308
2.790 5.773 2.541
```

(6)
Zn10GeB8Rh18 | PBE-GGA | optimized geometry

Calculated values
Formation energy from the elements in meV/atom: -432
Space-group type: P4/mbm (127)
Energy in eV per atom: -5.92

The structure in POSCAR format:
```
Zn10GeB8Rh18
1.0
-8.615 -8.839 12.953
-12.925 -4.367 -11.576
1.430 -2.404 -0.689
Zn Ge B Rh
20 2 16 36
Cartesian
-5.389 -5.083 6.546
-16.151 -8.123 -5.169
-6.246 -2.408 -4.556
-15.294 -10.798 5.933
-2.731 -1.113 -1.782
-18.809 -12.093 3.159
-14.146 -5.905 -8.744
-8.592 -6.058 3.303
-7.394 -7.301 10.122
-12.948 -7.148 -1.926
-12.821 -8.422 2.776
-8.719 -4.784 -1.399
-10.967 -4.945 -5.500
-10.573 -8.261 6.877
-16.331 -9.722 0.030
-5.209 -3.484 1.347
-7.944 -6.649 6.709
-13.596 -6.557 -5.332
-5.735 -2.939 -1.647
-15.805 -10.268 3.024
0.000 0.000 0.000
-10.770 -6.603 0.689
-3.383 -3.124 3.878
-18.157 -10.082 -2.501
-8.941 -3.252 -7.202
-13.146 -9.387 5.469
-12.600 -9.954 8.579
-8.394 -3.819 -4.092
-15.426 -8.407 -2.676
-6.114 -4.799 4.053
-3.051 -2.024 0.728
-18.489 -11.182 0.649
-11.833 -4.736 -8.025
-10.604 -7.539 4.298
-9.707 -8.470 9.403
-10.936 -5.667 -2.921
-14.007 -8.435 0.363
-7.533 -4.772 1.014
-2.607 -3.834 1.943
-17.503 -11.776 -1.255
-9.671 -5.229 -7.842
-11.120 -9.674 4.653
-10.439 -10.381 8.530
-8.990 -5.936 -3.965
-14.098 -9.689 -1.473
-6.012 -5.921 2.160
-3.906 -3.046 -3.498
-16.205 -12.564 4.185
-14.400 -8.240 -7.150
-6.256 -6.804 4.732
-5.710 -7.370 7.838
-13.854 -8.806 -4.044
-13.477 -10.892 4.011
-6.633 -4.718 -3.323
-3.384 -3.534 -0.713
-16.726 -12.076 1.400
-11.959 -6.733 -7.343
-8.710 -8.298 4.852
-8.151 -8.877 8.031
-11.400 -7.312 -4.164
-13.935 -10.364 1.222
-6.175 -5.246 -0.534
-0.984 -2.353 0.147
-19.127 -13.257 0.541
-11.524 -5.732 -9.932
-10.034 -8.375 2.375
-8.586 -9.878 10.620
-10.076 -7.235 -1.687
-11.887 -8.818 0.078
-8.224 -6.792 0.609
-7.522 -4.473 -6.019
-12.588 -11.137 6.707
-16.163 -10.357 -3.424
-3.948 -5.253 4.111
```

(7)
Ta5GeB2 | PBE-GGA | optimized geometry

Calculated values
Formation energy from the elements in meV/atom: -587
Space-group type: I4/mcm (140)
Energy in eV per atom: -10.25

The structure in POSCAR format:
```
Ta5GeB2
1.0
-3.141 3.141 5.837
3.141 -3.141 5.837
3.141 3.141 -5.837
Ta Ge B
10 2 4
Cartesian
2.103 1.038 4.240
1.038 2.103 -1.597
4.180 1.038 -1.597
-1.038 2.103 4.240
1.038 2.103 1.597
2.103 1.038 7.435
-1.038 2.103 7.435
4.180 1.038 1.597
0.000 0.000 5.837
0.000 0.000 0.000
0.000 0.000 2.919
0.000 0.000 8.756
0.762 2.380 5.837
2.380 0.762 0.000
2.380 -0.762 5.837
0.762 3.903 0.000
```

(8)
Ta5Ge2B | PBE-GGA | optimized geometry

Calculated values
Formation energy from the elements in meV/atom: -224
Space-group type: I4/mcm (140)
Energy in eV per atom: -9.63

The structure in POSCAR format:
```
Ta5Ge2B
1.0
3.844 -5.225 0.069
-4.682 -3.406 2.926
-2.588 -5.983 -3.915
Ta Ge B
10 4 2
Cartesian
-0.419 -4.316 1.497
0.000 0.000 0.000
-0.582 -7.160 0.280
-1.635 -2.530 -0.724
1.096 -4.555 -1.195
-3.312 -5.135 0.751
-2.845 -7.454 -1.201
-1.792 -12.084 -0.197
-4.522 -10.059 0.274
-0.115 -9.478 -1.672
-1.610 -6.264 2.575
0.772 -2.367 0.420
1.616 -5.764 1.128
-2.454 -2.867 1.867
-1.504 -5.149 -1.209
-1.923 -9.465 0.288
```